*i*
Computed, not measured: an optimized crystal structure of LiAl2H4Pb2O4F6 at the PBE-GGA level of DFT.

abc: 5.751 6.115 7.281
angles: 69.48 88.71 78.74
Space group P1 (No. 1)
Asymmetric unit:
Li 0.000 0.000 0.000 [1 per cell]
Al 0.476 0.090 0.971 [1 per cell]
Al 0.760 0.706 0.317 [1 per cell]
H 0.406 0.662 0.140 [1 per cell]
H 0.422 0.656 0.538 [1 per cell]
H 0.704 0.156 0.242 [1 per cell]
H 0.720 0.155 0.671 [1 per cell]
Pb 0.223 0.154 0.449 [1 per cell]
Pb 0.789 0.635 0.810 [1 per cell]
O 0.534 0.764 0.504 [1 per cell]
O 0.539 0.746 0.107 [1 per cell]
O 0.716 0.048 0.169 [1 per cell]
O 0.723 0.035 0.803 [1 per cell]
F 0.001 0.670 0.146 [1 per cell]
F 0.219 0.129 0.120 [1 per cell]
F 0.248 0.066 0.810 [1 per cell]
F 0.450 0.407 0.864 [1 per cell]
F 0.771 0.387 0.420 [1 per cell]
F 0.990 0.687 0.493 [1 per cell]

Values from the calculation:
The value obtained for the density is 4.6 g/cm3.

=====

*ii*
Computed, not measured: an optimized crystal structure of LiAl2H4Pb2O4F6 at the PBE-GGA level of DFT.

abc: 4.824 7.218 7.484
angles: 111.11 101.31 91.49
Space group P1 (No. 1)
Asymmetric unit:
Li 0.000 0.000 0.000 [1 per cell]
Al 0.434 0.713 0.719 [1 per cell]
Al 0.483 0.346 0.385 [1 per cell]
H 0.042 0.537 0.397 [1 per cell]
H 0.080 0.167 0.438 [1 per cell]
H 0.828 0.891 0.656 [1 per cell]
H 0.874 0.522 0.710 [1 per cell]
Pb 0.463 0.254 0.813 [1 per cell]
Pb 0.463 0.820 0.292 [1 per cell]
O 0.249 0.562 0.454 [1 per cell]
O 0.290 0.170 0.473 [1 per cell]
O 0.620 0.892 0.632 [1 per cell]
O 0.667 0.499 0.655 [1 per cell]
F 0.170 0.898 0.770 [1 per cell]
F 0.229 0.576 0.826 [1 per cell]
F 0.258 0.220 0.141 [1 per cell]
F 0.667 0.842 0.961 [1 per cell]
F 0.692 0.489 0.288 [1 per cell]
F 0.741 0.162 0.349 [1 per cell]

Values from the calculation:
The value obtained for the density is 4.6 g/cm3.

=====

Which one is most stable, and which one is least stable? *ii* is the most stable of them, while *i* is the least stable.

=====

*i*
Computed, not measured: an optimized crystal structure of Al8P8H34N7O36F5 at the PBE-GGA level of DFT.

abc: 9.545 9.668 10.023
angles: 90.07 90.05 90.18
Space group P1 (No. 1)
Asymmetric unit:
Al 0.000 0.000 0.000 [1 per cell]
Al 0.044 0.209 0.466 [1 per cell]
Al 0.236 0.266 0.963 [1 per cell]
Al 0.282 0.472 0.503 [1 per cell]
Al 0.500 0.971 0.274 [1 per cell]
Al 0.547 0.769 0.813 [1 per cell]
Al 0.735 0.705 0.311 [1 per cell]
Al 0.787 0.493 0.777 [1 per cell]
P 0.312 0.250 0.281 [1 per cell]
P 0.320 0.953 0.992 [1 per cell]
P 0.465 0.453 0.784 [1 per cell]
P 0.475 0.748 0.496 [1 per cell]
P 0.813 0.723 0.996 [1 per cell]
P 0.818 0.026 0.282 [1 per cell]
P 0.964 0.526 0.495 [1 per cell]
P 0.969 0.219 0.778 [1 per cell]
H 0.032 0.430 0.099 [1 per cell]
H 0.043 0.756 0.346 [1 per cell]
H 0.064 0.726 0.860 [1 per cell]
H 0.099 0.175 0.147 [1 per cell]
H 0.127 0.904 0.393 [1 per cell]
H 0.130 0.637 0.726 [1 per cell]
H 0.150 0.574 0.884 [1 per cell]
H 0.150 0.840 0.236 [1 per cell]
H 0.182 0.297 0.649 [1 per cell]
H 0.218 0.755 0.371 [1 per cell]
H 0.239 0.716 0.836 [1 per cell]
H 0.245 0.037 0.598 [1 per cell]
H 0.330 0.078 0.747 [1 per cell]
H 0.379 0.623 0.184 [1 per cell]
H 0.382 0.457 0.131 [1 per cell]
H 0.394 0.953 0.644 [1 per cell]
H 0.396 0.120 0.594 [1 per cell]
H 0.446 0.583 0.031 [1 per cell]
H 0.530 0.542 0.178 [1 per cell]
H 0.542 0.210 0.929 [1 per cell]
H 0.563 0.254 0.413 [1 per cell]
H 0.600 0.798 0.127 [1 per cell]
H 0.631 0.344 0.545 [1 per cell]
H 0.636 0.069 0.882 [1 per cell]
H 0.647 0.130 0.041 [1 per cell]
H 0.652 0.403 0.387 [1 per cell]
H 0.718 0.221 0.910 [1 per cell]
H 0.739 0.260 0.437 [1 per cell]
H 0.772 0.926 0.666 [1 per cell]
H 0.790 0.773 0.623 [1 per cell]
H 0.826 0.888 0.503 [1 per cell]
H 0.878 0.506 0.139 [1 per cell]
H 0.889 0.336 0.100 [1 per cell]
H 0.950 0.394 0.249 [1 per cell]
N 0.135 0.814 0.335 [1 per cell]
N 0.146 0.663 0.825 [1 per cell]
N 0.341 0.047 0.647 [1 per cell]
N 0.433 0.552 0.130 [1 per cell]
N 0.636 0.158 0.942 [1 per cell]
N 0.646 0.315 0.447 [1 per cell]
N 0.936 0.416 0.148 [1 per cell]
O 0.086 0.170 0.049 [1 per cell]
O 0.119 0.570 0.524 [1 per cell]
O 0.124 0.262 0.804 [1 per cell]
O 0.156 0.209 0.305 [1 per cell]
O 0.166 0.905 0.016 [1 per cell]
O 0.195 0.303 0.550 [1 per cell]
O 0.323 0.094 0.920 [1 per cell]
O 0.335 0.275 0.131 [1 per cell]
O 0.345 0.390 0.353 [1 per cell]
O 0.364 0.643 0.443 [1 per cell]
O 0.389 0.465 0.650 [1 per cell]
O 0.391 0.846 0.901 [1 per cell]
O 0.391 0.962 0.129 [1 per cell]
O 0.399 0.343 0.874 [1 per cell]
O 0.416 0.141 0.335 [1 per cell]
O 0.444 0.890 0.427 [1 per cell]
O 0.454 0.773 0.647 [1 per cell]
O 0.467 0.594 0.857 [1 per cell]
O 0.588 0.802 0.225 [1 per cell]
O 0.619 0.409 0.752 [1 per cell]
O 0.626 0.702 0.467 [1 per cell]
O 0.660 0.770 0.970 [1 per cell]
O 0.664 0.069 0.250 [1 per cell]
O 0.817 0.888 0.363 [1 per cell]
O 0.834 0.866 0.609 [1 per cell]
O 0.836 0.699 0.147 [1 per cell]
O 0.841 0.582 0.926 [1 per cell]
O 0.865 0.328 0.837 [1 per cell]
O 0.884 0.140 0.368 [1 per cell]
O 0.889 0.519 0.630 [1 per cell]
O 0.894 0.006 0.149 [1 per cell]
O 0.898 0.637 0.404 [1 per cell]
O 0.921 0.829 0.942 [1 per cell]
O 0.937 0.079 0.849 [1 per cell]
O 0.942 0.203 0.628 [1 per cell]
O 0.961 0.386 0.422 [1 per cell]
F 0.107 0.033 0.499 [1 per cell]
F 0.171 0.442 0.998 [1 per cell]
F 0.628 0.937 0.768 [1 per cell]
F 0.675 0.528 0.271 [1 per cell]
F 0.696 0.670 0.731 [1 per cell]

Values from the calculation:
The value obtained for the density is 2.3 g/cm3.

=====

*ii*
Computed, not measured: an optimized crystal structure of Al8P8H34N7O36F5 at the PBE-GGA level of DFT.

abc: 9.457 9.670 9.956
angles: 89.93 89.95 89.85
Space group P1 (No. 1)
Asymmetric unit:
Al 0.000 0.000 0.000 [1 per cell]
Al 0.050 0.213 0.534 [1 per cell]
Al 0.256 0.715 0.315 [1 per cell]
Al 0.307 0.499 0.851 [1 per cell]
Al 0.498 0.451 0.350 [1 per cell]
Al 0.550 0.238 0.815 [1 per cell]
Al 0.753 0.734 0.035 [1 per cell]
Al 0.808 0.953 0.498 [1 per cell]
P 0.070 0.991 0.314 [1 per cell]
P 0.075 0.685 0.034 [1 per cell]
P 0.230 0.185 0.818 [1 per cell]
P 0.231 0.492 0.537 [1 per cell]
P 0.574 0.459 0.037 [1 per cell]
P 0.576 0.770 0.318 [1 per cell]
P 0.729 0.267 0.529 [1 per cell]
P 0.732 0.961 0.816 [1 per cell]
H 0.006 0.440 0.868 [1 per cell]
H 0.038 0.768 0.634 [1 per cell]
H 0.095 0.863 0.765 [1 per cell]
H 0.107 0.237 0.146 [1 per cell]
H 0.141 0.378 0.243 [1 per cell]
H 0.165 0.878 0.608 [1 per cell]
H 0.200 0.738 0.706 [1 per cell]
H 0.210 0.363 0.086 [1 per cell]
H 0.269 0.269 0.218 [1 per cell]
H 0.299 0.941 0.983 [1 per cell]
H 0.330 0.997 0.450 [1 per cell]
H 0.360 0.539 0.168 [1 per cell]
H 0.387 0.086 0.588 [1 per cell]
H 0.393 0.801 0.932 [1 per cell]
H 0.412 0.152 0.430 [1 per cell]
H 0.417 0.867 0.089 [1 per cell]
H 0.444 0.414 0.667 [1 per cell]
H 0.474 0.956 0.951 [1 per cell]
H 0.506 0.011 0.482 [1 per cell]
H 0.538 0.685 0.716 [1 per cell]
H 0.595 0.589 0.585 [1 per cell]
H 0.646 0.075 0.114 [1 per cell]
H 0.665 0.574 0.742 [1 per cell]
H 0.700 0.714 0.643 [1 per cell]
H 0.703 0.106 0.273 [1 per cell]
H 0.772 0.180 0.134 [1 per cell]
H 0.799 0.513 0.368 [1 per cell]
H 0.830 0.456 0.899 [1 per cell]
H 0.888 0.367 0.761 [1 per cell]
H 0.893 0.651 0.419 [1 per cell]
H 0.911 0.302 0.918 [1 per cell]
H 0.918 0.586 0.262 [1 per cell]
H 0.944 0.040 0.684 [1 per cell]
H 0.974 0.496 0.400 [1 per cell]
N 0.126 0.812 0.680 [1 per cell]
N 0.180 0.312 0.171 [1 per cell]
N 0.396 0.891 0.990 [1 per cell]
N 0.408 0.061 0.489 [1 per cell]
N 0.626 0.641 0.670 [1 per cell]
N 0.897 0.561 0.361 [1 per cell]
N 0.908 0.392 0.860 [1 per cell]
O 0.079 0.825 0.958 [1 per cell]
O 0.098 0.006 0.162 [1 per cell]
O 0.105 0.134 0.379 [1 per cell]
O 0.129 0.385 0.473 [1 per cell]
O 0.141 0.697 0.174 [1 per cell]
O 0.147 0.573 0.949 [1 per cell]
O 0.155 0.074 0.902 [1 per cell]
O 0.165 0.197 0.677 [1 per cell]
O 0.174 0.884 0.375 [1 per cell]
O 0.199 0.635 0.470 [1 per cell]
O 0.202 0.506 0.688 [1 per cell]
O 0.223 0.324 0.893 [1 per cell]
O 0.347 0.547 0.267 [1 per cell]
O 0.387 0.137 0.797 [1 per cell]
O 0.389 0.453 0.513 [1 per cell]
O 0.417 0.499 0.012 [1 per cell]
O 0.419 0.815 0.294 [1 per cell]
O 0.459 0.405 0.766 [1 per cell]
O 0.583 0.630 0.391 [1 per cell]
O 0.603 0.450 0.188 [1 per cell]
O 0.607 0.317 0.970 [1 per cell]
O 0.631 0.068 0.883 [1 per cell]
O 0.643 0.762 0.176 [1 per cell]
O 0.647 0.882 0.403 [1 per cell]
O 0.655 0.383 0.451 [1 per cell]
O 0.664 0.249 0.670 [1 per cell]
O 0.676 0.567 0.972 [1 per cell]
O 0.683 0.142 0.178 [1 per cell]
O 0.700 0.819 0.882 [1 per cell]
O 0.704 0.948 0.665 [1 per cell]
O 0.724 0.131 0.448 [1 per cell]
O 0.886 0.313 0.553 [1 per cell]
O 0.889 0.003 0.840 [1 per cell]
O 0.915 0.953 0.341 [1 per cell]
O 0.918 0.641 0.057 [1 per cell]
O 0.957 0.047 0.585 [1 per cell]
F 0.370 0.676 0.813 [1 per cell]
F 0.426 0.278 0.317 [1 per cell]
F 0.848 0.904 0.076 [1 per cell]
F 0.870 0.775 0.540 [1 per cell]
F 0.919 0.173 0.046 [1 per cell]

Values from the calculation:
The value obtained for the density is 2.3 g/cm3.

=====

Which one is most stable, and which one is least stable? *i* is the most stable of them, while *ii* is the least stable.

=====

*i*
Computed, not measured: an optimized crystal structure of AlHg2O2F5 at the PBE-GGA level of DFT.

abc: 7.804 7.804 8.743
angles: 90.00 90.00 90.00
Space group I4cm (No. 108)
Asymmetric unit:
Al 0.000 0.000 0.000 [4 per cell]
Hg 0.168 0.332 0.269 [8 per cell]
O 0.132 0.368 0.777 [8 per cell]
F 0.000 0.000 0.294 [4 per cell]
F 0.002 0.226 0.528 [16 per cell]

Values from the calculation:
The value obtained for the density is 6.9 g/cm3.

=====

*ii*
Computed, not measured: an optimized crystal structure of AlHg2O2F5 at the PBE-GGA level of DFT.

abc: 8.944 8.944 7.402
angles: 90.00 90.00 90.00
Space group I4cm (No. 108)
Asymmetric unit:
Al 0.000 0.000 0.000 [4 per cell]
Hg 0.105 0.395 0.231 [8 per cell]
O 0.221 0.279 0.702 [8 per cell]
F 0.000 0.000 0.251 [4 per cell]
F 0.041 0.200 0.500 [16 per cell]

Values from the calculation:
The value obtained for the density is 6.2 g/cm3.

=====

Which one is most stable, and which one is least stable? *i* is the most stable of them, while *ii* is the least stable.

=====

*i*
Computed, not measured: an optimized crystal structure of KMg3AlSi3O10F2 at the PBE-GGA level of DFT.

abc: 5.364 5.365 10.368
angles: 80.07 85.27 60.04
Space group P1 (No. 1)
Asymmetric unit:
K 0.000 0.000 0.000 [1 per cell]
Mg 0.000 0.494 0.537 [1 per cell]
Mg 0.336 0.816 0.537 [1 per cell]
Mg 0.658 0.158 0.538 [1 per cell]
Al 0.333 0.398 0.805 [1 per cell]
Si 0.334 0.243 0.262 [1 per cell]
Si 0.666 0.730 0.810 [1 per cell]
Si 0.668 0.579 0.262 [1 per cell]
O 0.001 0.443 0.204 [1 per cell]
O 0.332 0.457 0.633 [1 per cell]
O 0.334 0.187 0.421 [1 per cell]
O 0.447 0.610 0.866 [1 per cell]
O 0.488 0.931 0.203 [1 per cell]
O 0.513 0.417 0.206 [1 per cell]
O 0.565 0.032 0.866 [1 per cell]
O 0.665 0.786 0.645 [1 per cell]
O 0.668 0.530 0.421 [1 per cell]
O 0.988 0.491 0.866 [1 per cell]
F 0.000 0.126 0.625 [1 per cell]
F 0.988 0.863 0.433 [1 per cell]

Values from the calculation:
The value obtained for the density is 2.7 g/cm3.

=====

*ii*
Computed, not measured: an optimized crystal structure of KMg3AlSi3O10F2 at the PBE-GGA level of DFT.

abc: 5.803 12.993 7.202
angles: 90.00 90.05 90.00
Space group P2_1 (No. 4)
Asymmetric unit:
K 0.234 0.000 0.441 [2 per cell]
Mg 0.096 0.476 0.133 [2 per cell]
Mg 0.447 0.094 0.903 [2 per cell]
Mg 0.468 0.833 0.101 [2 per cell]
Al 0.448 0.265 0.281 [2 per cell]
Si 0.001 0.301 0.857 [2 per cell]
Si 0.059 0.764 0.746 [2 per cell]
Si 0.275 0.667 0.429 [2 per cell]
O 0.032 0.719 0.961 [2 per cell]
O 0.070 0.666 0.594 [2 per cell]
O 0.109 0.910 0.069 [2 per cell]
O 0.176 0.336 0.285 [2 per cell]
O 0.219 0.769 0.291 [2 per cell]
O 0.247 0.305 0.763 [2 per cell]
O 0.285 0.836 0.704 [2 per cell]
O 0.296 0.569 0.291 [2 per cell]
O 0.476 0.211 0.063 [2 per cell]
O 0.478 0.179 0.467 [2 per cell]
F 0.169 0.055 0.785 [2 per cell]
F 0.407 0.470 0.985 [2 per cell]

Values from the calculation:
The value obtained for the density is 2.6 g/cm3.

=====

*iii*
Computed, not measured: an optimized crystal structure of KMg3AlSi3O10F2 at the PBE-GGA level of DFT.

abc: 5.948 12.408 7.093
angles: 90.00 92.76 90.00
Space group P2_1 (No. 4)
Asymmetric unit:
K 0.227 0.000 0.057 [2 per cell]
Mg 0.138 0.541 0.461 [2 per cell]
Mg 0.397 0.112 0.613 [2 per cell]
Mg 0.458 0.832 0.397 [2 per cell]
Al 0.472 0.268 0.208 [2 per cell]
Si 0.034 0.302 0.648 [2 per cell]
Si 0.035 0.769 0.765 [2 per cell]
Si 0.263 0.667 0.082 [2 per cell]
O 0.015 0.927 0.402 [2 per cell]
O 0.020 0.720 0.544 [2 per cell]
O 0.060 0.662 0.911 [2 per cell]
O 0.192 0.777 0.215 [2 per cell]
O 0.200 0.330 0.197 [2 per cell]
O 0.265 0.841 0.802 [2 per cell]
O 0.280 0.274 0.731 [2 per cell]
O 0.312 0.574 0.238 [2 per cell]
O 0.491 0.710 0.571 [2 per cell]
O 0.496 0.676 0.976 [2 per cell]
F 0.131 0.057 0.705 [2 per cell]
F 0.474 0.482 0.554 [2 per cell]

Values from the calculation:
The value obtained for the density is 2.7 g/cm3.

=====

Which one is most stable, and which one is least stable? *i* is the most stable of them, while *iii* is the least stable.